# Ti3O

Crystalline Ti3O at its relaxed geometry (PBE, the Materials Project).

Geometry as CIF:
```
data_Ti3O
_space_group_name_H-M_alt 'P 1'
_space_group_IT_number 1
_space_group_name_Hall 'P 1'
_cell_length_a 10.8239
_cell_length_b 10.8267
_cell_length_c 12.2450
_cell_angle_alpha 90.90
_cell_angle_beta 93.80
_cell_angle_gamma 94.05
loop_
_atom_site_label
_atom_site_fract_x
_atom_site_fract_y
_atom_site_fract_z
Ti1 0.0000 0.0000 0.0000
Ti2 0.0013 0.1464 0.3306
Ti3 0.0020 0.5289 0.6585
Ti4 0.0395 0.0315 0.7689
Ti5 0.0807 0.9178 0.2392
Ti6 0.0888 0.7803 0.8314
Ti7 0.0940 0.8159 0.4512
Ti8 0.1006 0.5395 0.4616
Ti9 0.1042 0.7612 0.0529
Ti10 0.1131 0.6558 0.2629
Ti11 0.1255 0.0657 0.5394
Ti12 0.1609 0.1433 0.1397
Ti13 0.1650 0.3801 0.2671
Ti14 0.1750 0.2251 0.9290
Ti15 0.1868 0.4653 0.0590
Ti16 0.2136 0.2340 0.6925
Ti17 0.2178 0.4682 0.8363
Ti18 0.2187 0.6759 0.6410
Ti19 0.2245 0.3017 0.4663
Ti20 0.2397 0.8889 0.6619
Ti21 0.2481 0.1176 0.3374
Ti22 0.2616 0.4483 0.6296
Ti23 0.2671 0.9270 0.9656
Ti24 0.3015 0.6912 0.9218
Ti25 0.3040 0.0668 0.8001
Ti26 0.3260 0.8323 0.3911
Ti27 0.3281 0.9538 0.1885
Ti28 0.3479 0.7097 0.1546
Ti29 0.3495 0.5636 0.4477
Ti30 0.3701 0.2823 0.1086
Ti31 0.3852 0.0779 0.5448
Ti32 0.4132 0.5058 0.2304
Ti33 0.4305 0.3175 0.8352
Ti34 0.4403 0.5051 0.9955
Ti35 0.4426 0.5869 0.7754
Ti36 0.4505 0.3279 0.3731
Ti37 0.4618 0.7801 0.5933
Ti38 0.4663 0.8782 0.8243
Ti39 0.4913 0.0690 0.0012
Ti40 0.5134 0.1378 0.2418
Ti41 0.5185 0.2917 0.6078
Ti42 0.5432 0.7258 0.3765
Ti43 0.5484 0.7490 0.0041
Ti44 0.5560 0.1131 0.7807
Ti45 0.5596 0.9669 0.3930
Ti46 0.5708 0.5362 0.5971
Ti47 0.5836 0.9039 0.1734
Ti48 0.6232 0.3877 0.1690
Ti49 0.6226 0.9878 0.6047
Ti50 0.6432 0.7305 0.7970
Ti51 0.6548 0.4794 0.3855
Ti52 0.6808 0.6599 0.2100
Ti53 0.6848 0.4042 0.7718
Ti54 0.6916 0.2542 0.9540
Ti55 0.7108 0.9933 0.9359
Ti56 0.7122 0.5564 0.9675
Ti57 0.7285 0.7548 0.5520
Ti58 0.7463 0.1862 0.3937
Ti59 0.7750 0.3903 0.5628
Ti60 0.7808 0.1775 0.7146
Ti61 0.7862 0.8909 0.3439
Ti62 0.8042 0.9156 0.7436
Ti63 0.8099 0.0570 0.1657
Ti64 0.8181 0.6208 0.7449
Ti65 0.8574 0.7757 0.9288
Ti66 0.8690 0.0112 0.5475
Ti67 0.8745 0.7939 0.1553
Ti68 0.8929 0.6652 0.3567
Ti69 0.9021 0.5380 0.1451
Ti70 0.9138 0.3873 0.3362
Ti71 0.9536 0.2823 0.1096
Ti72 0.9797 0.5476 0.9256
Ti73 0.9802 0.7958 0.6348
Ti74 0.9854 0.3178 0.7840
Ti75 0.9878 0.2801 0.5380
O1 0.0264 0.1675 0.6628
O2 0.0697 0.3821 0.9295
O3 0.0897 0.9968 0.3892
O4 0.1571 0.9547 0.0930
O5 0.2319 0.5455 0.2012
O6 0.3124 0.3625 0.9626
O7 0.3754 0.6719 0.3182
O8 0.3926 0.0192 0.3602
O9 0.3941 0.5999 0.6113
O10 0.4007 0.1898 0.7068
O11 0.4431 0.9554 0.6726
O12 0.5569 0.2278 0.0917
O13 0.5897 0.4044 0.9198
O14 0.5900 0.5669 0.0860
O15 0.6203 0.2945 0.3095
O16 0.6811 0.0361 0.2789
O17 0.7150 0.6808 0.3846
O18 0.7792 0.5001 0.2615
O19 0.8069 0.1921 0.5532
O20 0.8162 0.2966 0.8439
O21 0.8236 0.1574 0.0282
O22 0.8337 0.9219 0.0408
O23 0.8535 0.2287 0.2494
O24 0.8979 0.8278 0.4757
O25 0.9386 0.4575 0.5027
```

The total moment is 0.000 μB/atom. The value obtained for the formation energy is -1287 meV/atom.